No. 1
The following is a PBE calculation of an optimized crystal structure of HfSc3Si8, from the Materials Project.

Unit cell a=3.6738 b=3.7336 c=14.5997 alpha=90.00 beta=90.00 gamma=90.00
Last column: nearest neighbours and their distance in Å.
Space group Pmm2 (No. 25)
Inequivalent atoms, fractional coordinates:
Hf: 0.0000 0.0000 0.0000 [1 per cell]  10 Si 2.72-2.98
Sc: 0.0000 0.5000 0.4985 [1 per cell]  10 Si 2.72-2.92
Sc: 0.5000 0.0000 0.7939 [1 per cell]  10 Si 2.71-2.93
Sc: 0.5000 0.5000 0.2921 [1 per cell]  10 Si 2.73-2.95
Si: 0.0000 0.0000 0.3445 [1 per cell]  2 Si 2.38
Si: 0.0000 0.0000 0.6453 [1 per cell]  4 Si 2.62, 4 Sc 2.84
Si: 0.0000 0.5000 0.1447 [1 per cell]  4 Si 2.62, 2 Hf 2.82, 2 Sc 2.83
Si: 0.0000 0.5000 0.8409 [1 per cell]  2 Si 2.42, 4 Sc 2.71
Si: 0.5000 0.0000 0.1457 [1 per cell]  4 Si 2.62, 2 Hf 2.81, 2 Sc 2.84
Si: 0.5000 0.0000 0.4485 [1 per cell]  2 Si 2.38
Si: 0.5000 0.5000 0.6465 [1 per cell]  4 Si 2.62, 4 Sc 2.84-2.85
Si: 0.5000 0.5000 0.9486 [1 per cell]  2 Si 2.42

Computed properties:
- E_tot (Ha/atom) = -0.2417
- MP2020-corrected energy (eV per atom) = -6.53

***

No. 2
The following is a PBE calculation of an optimized crystal structure of HfScSi2, from the Materials Project.

Unit cell a=3.7102 b=3.8466 c=9.8439 alpha=90.00 beta=90.00 gamma=90.00
Last column: nearest neighbours and their distance in Å.
Space group Amm2 (No. 38)
Inequivalent atoms, fractional coordinates:
Hf: 0.0000 0.0000 0.0000 [2 per cell]  7 Si 2.73-2.91
Sc: 0.5000 0.0000 0.2824 [2 per cell]  7 Si 2.71-2.93
Si: 0.0000 0.0000 0.7217 [2 per cell]  2 Si 2.46, 4 Sc 2.74, 1 Hf 2.74
Si: 0.5000 0.0000 0.5574 [2 per cell]  2 Si 2.46, 1 Sc 2.71, 4 Hf 2.73

Computed properties:
- E_tot (Ha/atom) = -0.2793
- MP2020-corrected energy (eV per atom) = -7.57

***

No. 3
The following is a PBE calculation of an optimized crystal structure of HfSe2, from the Materials Project.

Unit cell a=3.7735 b=3.7735 c=6.9285 alpha=90.00 beta=90.00 gamma=120.00
Last column: nearest neighbours and their distance in Å.
Space group P-3m1 (No. 164)
Inequivalent atoms, fractional coordinates:
Hf: 0.0000 0.0000 0.0000 [1 per cell]  6 Se 2.69
Se: 0.3333 0.6667 0.2273 [2 per cell]  3 Hf 2.69

Computed properties:
- E_tot (Ha/atom) = -0.2571
- MP2020-corrected energy (eV per atom) = -7.31

***

No. 4
The following is a PBE calculation of an optimized crystal structure of Hf2Se, from the Materials Project.

Unit cell a=3.4498 b=3.4498 c=12.2710 alpha=90.00 beta=90.00 gamma=120.00
Last column: nearest neighbours and their distance in Å.
Space group P6_3/mmc (No. 194)
Inequivalent atoms, fractional coordinates:
Hf: 0.3333 0.6667 0.0938 [4 per cell]  3 Se 2.76, 3 Hf 3.04
Se: 0.0000 0.0000 0.2500 [2 per cell]  6 Hf 2.76

Computed properties:
- E_tot (Ha/atom) = -0.3165
- MP2020-corrected energy (eV per atom) = -8.77

***

No. 5
The following is a PBE calculation of an optimized crystal structure of Hf2Se3, from the Materials Project.

Unit cell a=11.1604 b=6.4392 c=13.2086 alpha=90.00 beta=106.37 gamma=90.00
Last column: nearest neighbours and their distance in Å.
Space group Cc (No. 9)
Inequivalent atoms, fractional coordinates:
Hf: 0.0000 0.0817 0.0000 [4 per cell]  6 Se 2.63-2.74
Hf: 0.0788 0.4159 0.2332 [4 per cell]  6 Se 2.58-2.79
Hf: 0.1675 0.4162 0.5002 [4 per cell]  6 Se 2.63-2.75
Hf: 0.3324 0.0842 0.0002 [4 per cell]  6 Se 2.62-2.74
Se: 0.0425 0.2364 0.6296 [4 per cell]  4 Hf 2.60-2.75
Se: 0.1221 0.0815 0.3684 [4 per cell]  4 Hf 2.71-2.75
Se: 0.2167 0.2421 0.1299 [4 per cell]  4 Hf 2.58-2.75
Se: 0.2901 0.4155 0.8682 [4 per cell]  4 Hf 2.71-2.75
Se: 0.3701 0.2559 0.6294 [4 per cell]  4 Hf 2.59-2.74
Se: 0.4560 0.0840 0.3715 [4 per cell]  4 Hf 2.70-2.79

Computed properties:
- E_tot (Ha/atom) = -0.2704
- MP2020-corrected energy (eV per atom) = -7.64

***

No. 6
The following is a PBE calculation of an optimized crystal structure of HfTe2Se6, from the Materials Project.

Unit cell a=6.1582 b=11.9845 c=8.7650 alpha=90.00 beta=113.14 gamma=90.00
Last column: nearest neighbours and their distance in Å.
Space group P2_1/c (No. 14)
Inequivalent atoms, fractional coordinates:
Hf: 0.0000 0.0000 0.0000 [2 per cell]  6 Se 2.65-2.70
Te: 0.3905 0.1865 0.7226 [4 per cell]  3 Se 2.53-2.64
Se: 0.0344 0.0756 0.7221 [4 per cell]  1 Te 2.56, 1 Hf 2.68
Se: 0.2854 0.6685 0.4915 [4 per cell]  1 Te 2.53, 1 Hf 2.70
Se: 0.3117 0.1013 0.2642 [4 per cell]  1 Te 2.64, 1 Hf 2.65

Computed properties:
- E_tot (Ha/atom) = -0.1620
- MP2020-corrected energy (eV per atom) = -4.72

***

No. 7
The following is a PBE calculation of an optimized crystal structure of HfTiSe4, from the Materials Project.

Unit cell a=6.3065 b=3.6826 c=6.5744 alpha=90.00 beta=90.07 gamma=90.00
Last column: nearest neighbours and their distance in Å.
Space group P2/m (No. 10)
Inequivalent atoms, fractional coordinates:
Hf: 0.0000 0.0000 0.0000 [1 per cell]  6 Se 2.66-2.67
Ti: 0.5000 0.5000 0.0000 [1 per cell]  6 Se 2.59-2.60
Se: 0.1757 0.5000 0.2418 [2 per cell]  1 Ti 2.59, 2 Hf 2.67
Se: 0.3429 0.0000 0.7642 [2 per cell]  2 Ti 2.60, 1 Hf 2.66

Computed properties:
- E_tot (Ha/atom) = -0.2394
- MP2020-corrected energy (eV per atom) = -6.83

***

No. 8
The following is a PBE calculation of an optimized crystal structure of HfTi4Se10, from the Materials Project.

Unit cell a=3.6075 b=3.6075 c=34.0245 alpha=90.00 beta=90.00 gamma=120.00
Last column: nearest neighbours and their distance in Å.
Space group P-3m1 (No. 164)
Inequivalent atoms, fractional coordinates:
Hf: 0.0000 0.0000 0.0000 [1 per cell]  6 Se 2.65
Ti: 0.0000 0.0000 0.2010 [2 per cell]  6 Se 2.58
Ti: 0.0000 0.0000 0.3999 [2 per cell]  6 Se 2.58
Se: 0.3333 0.6667 0.0484 [2 per cell]  3 Hf 2.65
Se: 0.3333 0.6667 0.2457 [2 per cell]  3 Ti 2.58
Se: 0.3333 0.6667 0.4447 [2 per cell]  3 Ti 2.58
Se: 0.3333 0.6667 0.6449 [2 per cell]  3 Ti 2.58
Se: 0.3333 0.6667 0.8439 [2 per cell]  3 Ti 2.58

Computed properties:
- E_tot (Ha/atom) = -0.2295
- MP2020-corrected energy (eV per atom) = -6.56

***

Number 1: ΔE_f -0.5005 eV/atom. Number 2: ΔE_f -0.7799 eV/atom. Number 3: ΔE_f -1.6600 eV/atom. Number 4: ΔE_f -0.9661 eV/atom. Number 5: ΔE_f -1.5598 eV/atom. Number 6: ΔE_f -0.5877 eV/atom. Number 7: ΔE_f -1.5239 eV/atom. Number 8: ΔE_f -1.4589 eV/atom.